VASP calculation (GGA+U) on a relaxed NaMoAsO6 crystal.

Cell: 15.050 6.657 10.291 Å, 90.00 90.00 90.00°
Positions (direct):
Na: 0.065 0.237 0.000
Na: 0.182 0.730 0.025
Na: 0.318 0.730 0.525
Na: 0.435 0.237 0.500
Na: 0.565 0.763 0.000
Na: 0.682 0.270 0.025
Na: 0.818 0.270 0.525
Na: 0.935 0.763 0.500
Mo: 0.100 0.488 0.336
Mo: 0.150 0.991 0.691
Mo: 0.350 0.991 0.191
Mo: 0.400 0.488 0.836
Mo: 0.600 0.512 0.336
Mo: 0.650 0.009 0.691
Mo: 0.850 0.009 0.191
Mo: 0.900 0.512 0.836
As: 0.105 0.494 0.674
As: 0.144 0.987 0.352
As: 0.356 0.987 0.852
As: 0.395 0.494 0.174
As: 0.605 0.506 0.674
As: 0.644 0.013 0.352
As: 0.856 0.013 0.852
As: 0.895 0.506 0.174
O: 0.042 0.500 0.537
O: 0.045 0.974 0.623
O: 0.046 0.500 0.815
O: 0.069 0.788 0.347
O: 0.076 0.197 0.355
O: 0.123 0.484 0.170
O: 0.127 0.985 0.858
O: 0.173 0.283 0.676
O: 0.181 0.692 0.678
O: 0.203 0.987 0.210
O: 0.205 0.511 0.404
O: 0.207 0.981 0.489
O: 0.293 0.981 0.989
O: 0.295 0.511 0.904
O: 0.297 0.987 0.710
O: 0.319 0.692 0.178
O: 0.327 0.283 0.176
O: 0.373 0.985 0.358
O: 0.377 0.484 0.670
O: 0.424 0.197 0.855
O: 0.431 0.788 0.847
O: 0.454 0.500 0.315
O: 0.455 0.974 0.123
O: 0.458 0.500 0.037
O: 0.542 0.500 0.537
O: 0.545 0.026 0.623
O: 0.546 0.500 0.815
O: 0.569 0.212 0.347
O: 0.576 0.803 0.355
O: 0.623 0.516 0.170
O: 0.627 0.015 0.858
O: 0.673 0.717 0.676
O: 0.681 0.308 0.678
O: 0.703 0.013 0.210
O: 0.705 0.489 0.404
O: 0.707 0.019 0.489
O: 0.793 0.019 0.989
O: 0.795 0.489 0.904
O: 0.797 0.013 0.710
O: 0.819 0.308 0.178
O: 0.827 0.717 0.176
O: 0.873 0.015 0.358
O: 0.877 0.516 0.670
O: 0.924 0.803 0.855
O: 0.931 0.212 0.847
O: 0.954 0.500 0.315
O: 0.955 0.026 0.123
O: 0.958 0.500 0.037

Calculated values
Formation energy = -1921 meV/atom
Corrected total energy (MP2020 scheme) = -7.09 eV per atom
Total DFT energy (no corrections) = -0.23061 hartree per atom
Symmetry = Pca2_1 (29)

***

VASP calculation (GGA+U) on a relaxed NaMoAsO8 crystal.

Cell: 7.289 10.261 10.553 Å, 115.73 97.24 105.28°
Positions (direct):
Na: 0.032 0.048 0.346
Na: 0.388 0.477 0.283
Na: 0.612 0.523 0.717
Na: 0.968 0.952 0.654
Mo: 0.286 0.795 0.139
Mo: 0.419 0.824 0.661
Mo: 0.581 0.176 0.339
Mo: 0.714 0.205 0.861
As: 0.140 0.564 0.758
As: 0.280 0.056 0.998
As: 0.720 0.944 0.002
As: 0.860 0.436 0.242
O: 0.059 0.707 0.154
O: 0.103 0.515 0.277
O: 0.105 0.093 0.906
O: 0.158 0.884 0.997
O: 0.166 0.209 0.617
O: 0.171 0.336 0.435
O: 0.191 0.701 0.700
O: 0.251 0.872 0.573
O: 0.262 0.437 0.665
O: 0.279 0.643 0.937
O: 0.339 0.008 0.291
O: 0.401 0.208 0.171
O: 0.429 0.456 0.004
O: 0.436 0.029 0.884
O: 0.452 0.749 0.230
O: 0.470 0.674 0.527
O: 0.530 0.326 0.473
O: 0.548 0.251 0.770
O: 0.564 0.971 0.116
O: 0.571 0.544 0.996
O: 0.599 0.792 0.829
O: 0.661 0.992 0.709
O: 0.721 0.357 0.063
O: 0.738 0.563 0.335
O: 0.749 0.128 0.427
O: 0.809 0.299 0.300
O: 0.829 0.664 0.565
O: 0.834 0.791 0.383
O: 0.842 0.116 0.003
O: 0.895 0.907 0.094
O: 0.897 0.485 0.723
O: 0.941 0.293 0.846

Calculated values
Formation energy = -929 meV/atom
Corrected total energy (MP2020 scheme) = -6.06 eV per atom
Total DFT energy (no corrections) = -0.20759 hartree per atom
M_tot = 0.229 μB per atom
Symmetry = P-1 (2)

***

VASP calculation (GGA+U) on a relaxed NaMoAsO6 crystal.

Cell: 6.652 7.599 10.289 Å, 90.00 90.00 90.00°
Positions (direct):
Na: 0.013 0.129 0.488
Na: 0.487 0.871 0.988
Na: 0.513 0.371 0.512
Na: 0.987 0.629 0.012
Mo: 0.245 0.699 0.677
Mo: 0.255 0.301 0.177
Mo: 0.745 0.801 0.323
Mo: 0.755 0.199 0.823
As: 0.248 0.710 0.340
As: 0.252 0.290 0.840
As: 0.748 0.790 0.660
As: 0.752 0.210 0.160
O: 0.046 0.854 0.339
O: 0.048 0.148 0.835
O: 0.244 0.415 0.977
O: 0.244 0.909 0.609
O: 0.245 0.591 0.198
O: 0.250 0.258 0.344
O: 0.250 0.742 0.844
O: 0.255 0.409 0.698
O: 0.256 0.091 0.109
O: 0.256 0.585 0.477
O: 0.452 0.852 0.335
O: 0.454 0.146 0.839
O: 0.546 0.646 0.661
O: 0.548 0.352 0.165
O: 0.744 0.085 0.023
O: 0.744 0.591 0.391
O: 0.745 0.909 0.802
O: 0.750 0.242 0.656
O: 0.750 0.758 0.156
O: 0.755 0.091 0.302
O: 0.756 0.409 0.891
O: 0.756 0.915 0.523
O: 0.952 0.648 0.665
O: 0.954 0.354 0.161

Calculated values
Formation energy = -1920 meV/atom
Corrected total energy (MP2020 scheme) = -7.09 eV per atom
Total DFT energy (no corrections) = -0.23058 hartree per atom
M_tot = 0.000 μB per atom
Symmetry = P2_12_12_1 (19)

***

VASP calculation (GGA+U) on a relaxed MoAs2O7 crystal.

Cell: 7.664 9.447 10.029 Å, 90.00 97.16 90.00°
Positions (direct):
Mo: 0.202 0.048 0.305
Mo: 0.202 0.452 0.805
Mo: 0.798 0.548 0.195
Mo: 0.798 0.952 0.695
As: 0.160 0.732 0.493
As: 0.160 0.768 0.993
As: 0.419 0.730 0.269
As: 0.419 0.770 0.769
As: 0.581 0.230 0.231
As: 0.581 0.270 0.731
As: 0.840 0.232 0.007
As: 0.840 0.268 0.507
O: 0.028 0.071 0.179
O: 0.028 0.429 0.679
O: 0.115 0.625 0.881
O: 0.115 0.875 0.381
O: 0.169 0.157 0.438
O: 0.169 0.343 0.938
O: 0.296 0.654 0.129
O: 0.296 0.846 0.629
O: 0.358 0.664 0.418
O: 0.358 0.836 0.918
O: 0.366 0.184 0.230
O: 0.366 0.316 0.730
O: 0.406 0.588 0.760
O: 0.406 0.912 0.260
O: 0.594 0.088 0.740
O: 0.594 0.412 0.240
O: 0.634 0.684 0.270
O: 0.634 0.816 0.770
O: 0.642 0.164 0.082
O: 0.642 0.336 0.582
O: 0.704 0.154 0.371
O: 0.704 0.346 0.871
O: 0.831 0.657 0.062
O: 0.831 0.843 0.562
O: 0.885 0.125 0.619
O: 0.885 0.375 0.119
O: 0.972 0.571 0.321
O: 0.972 0.929 0.821

Calculated values
Formation energy = -1716 meV/atom
Corrected total energy (MP2020 scheme) = -7.20 eV per atom
Total DFT energy (no corrections) = -0.23501 hartree per atom
Offset from the most stable computed form = 0.014 eV/atom
Symmetry = P2_1/c (14)